# 1
{"formula": "Li5Fe2P2C2O14", "functional": "GGA+U", "state": "optimized geometry", "cell": [[5.0657, 0.0000, 0.0000], [-0.7806, 8.4101, 0.0000], [-0.1478, -0.0327, 13.0213]], "species": ["Li", "Li", "Li", "Li", "Li", "Li", "Li", "Li", "Li", "Li", "Fe", "Fe", "Fe", "Fe", "P", "P", "P", "P", "C", "C", "C", "C", "O", "O", "O", "O", "O", "O", "O", "O", "O", "O", "O", "O", "O", "O", "O", "O", "O", "O", "O", "O", "O", "O", "O", "O", "O", "O", "O", "O"], "fractional_positions": [[0.2421, 0.0867, 0.1163], [0.2273, 0.0999, 0.6380], [0.7335, 0.2684, 0.0035], [0.7504, 0.2841, 0.2259], [0.7515, 0.2752, 0.5211], [0.2485, 0.7248, 0.4789], [0.2496, 0.7159, 0.7741], [0.2665, 0.7316, 0.9965], [0.7727, 0.9001, 0.3620], [0.7579, 0.9133, 0.8837], [0.2037, 0.3371, 0.3729], [0.2045, 0.3268, 0.8741], [0.7955, 0.6732, 0.1259], [0.7963, 0.6629, 0.6271], [0.2761, 0.4156, 0.1229], [0.2778, 0.4169, 0.6216], [0.7222, 0.5831, 0.3784], [0.7239, 0.5844, 0.8771], [0.3030, 0.0302, 0.8795], [0.3047, 0.0477, 0.3825], [0.6970, 0.9698, 0.1205], [0.6953, 0.9523, 0.6175], [0.0569, 0.0798, 0.3776], [0.0609, 0.0674, 0.8706], [0.6408, 0.1168, 0.1280], [0.6205, 0.0898, 0.6053], [0.4921, 0.1417, 0.8944], [0.4794, 0.1738, 0.3744], [0.1613, 0.3137, 0.5287], [0.1790, 0.2959, 0.0364], [0.1696, 0.3247, 0.2230], [0.2187, 0.3109, 0.7147], [0.8429, 0.4205, 0.3743], [0.8350, 0.4240, 0.8882], [0.5850, 0.4356, 0.1284], [0.5830, 0.4557, 0.6058], [0.4170, 0.5443, 0.3942], [0.4150, 0.5644, 0.8716], [0.1650, 0.5760, 0.1118], [0.1571, 0.5795, 0.6257], [0.7813, 0.6891, 0.2853], [0.8387, 0.6863, 0.4713], [0.8304, 0.6753, 0.7770], [0.8210, 0.7041, 0.9636], [0.5079, 0.8583, 0.1056], [0.5206, 0.8262, 0.6256], [0.3795, 0.9102, 0.3947], [0.3592, 0.8832, 0.8720], [0.9391, 0.9326, 0.1294], [0.9431, 0.9202, 0.6224]], "energy_corrected_mp2020_ev_per_atom": -7.3093, "m_tot_mub_per_cell": 18.000, "e_form_ev_per_atom": -2.308}


# 2
{"formula": "Rb2CoO3", "functional": "GGA+U", "state": "optimized geometry", "cell": [[3.2589, 4.8796, -3.2774], [-3.3661, -5.1738, -2.6595], [-11.1472, 7.3358, -0.1621]], "species": ["Rb", "Rb", "Rb", "Rb", "Rb", "Rb", "Rb", "Rb", "Co", "Co", "Co", "Co", "O", "O", "O", "O", "O", "O", "O", "O", "O", "O", "O", "O"], "fractional_positions": [[0.9410, 0.0590, 0.1404], [0.8635, 0.1365, 0.5763], [0.6365, 0.3635, 0.0763], [0.4410, 0.5590, 0.3596], [0.0590, 0.9410, 0.8596], [0.5590, 0.4410, 0.6404], [0.3635, 0.6365, 0.9237], [0.1365, 0.8635, 0.4237], [0.7566, 0.2434, 0.3293], [0.2566, 0.7434, 0.1707], [0.7434, 0.2566, 0.8293], [0.2434, 0.7566, 0.6707], [0.4711, 0.0289, 0.2500], [0.0289, 0.4711, 0.7500], [0.8993, 0.1007, 0.3599], [0.6684, 0.3316, 0.4359], [0.3316, 0.6684, 0.5641], [0.1684, 0.8316, 0.0641], [0.8316, 0.1684, 0.9359], [0.3993, 0.6007, 0.1401], [0.6007, 0.3993, 0.8599], [0.1007, 0.8993, 0.6401], [0.9711, 0.5289, 0.2500], [0.5289, 0.9711, 0.7500]], "energy_corrected_mp2020_ev_per_atom": -5.3924, "m_tot_mub_per_cell": 11.994, "e_form_ev_per_atom": -1.407}


# 3
{"formula": "Mn3V2Si3O12", "functional": "GGA+U", "state": "optimized geometry", "cell": [[2.9711, 2.0641, 9.7358], [-9.7287, 3.3424, -1.4330], [0.4188, -10.2459, -1.6489]], "species": ["Mn", "Mn", "Mn", "Mn", "Mn", "Mn", "Mn", "Mn", "Mn", "Mn", "Mn", "Mn", "V", "V", "V", "V", "V", "V", "V", "V", "Si", "Si", "Si", "Si", "Si", "Si", "Si", "Si", "Si", "Si", "Si", "Si", "O", "O", "O", "O", "O", "O", "O", "O", "O", "O", "O", "O", "O", "O", "O", "O", "O", "O", "O", "O", "O", "O", "O", "O", "O", "O", "O", "O", "O", "O", "O", "O", "O", "O", "O", "O", "O", "O", "O", "O", "O", "O", "O", "O", "O", "O", "O", "O"], "fractional_positions": [[0.8750, 0.6250, 0.2500], [0.6250, 0.2500, 0.8750], [0.8750, 0.7500, 0.6250], [0.7500, 0.6250, 0.8750], [0.2500, 0.8750, 0.6250], [0.6250, 0.8750, 0.7500], [0.1250, 0.3750, 0.7500], [0.3750, 0.7500, 0.1250], [0.1250, 0.2500, 0.3750], [0.2500, 0.3750, 0.1250], [0.7500, 0.1250, 0.3750], [0.3750, 0.1250, 0.2500], [0.5000, 0.5000, 0.5000], [0.5000, 0.0000, 0.5000], [0.0000, 0.5000, 0.5000], [0.5000, 0.5000, 0.0000], [0.0000, 0.0000, 0.5000], [0.0000, 0.5000, 0.0000], [0.5000, 0.0000, 0.0000], [0.0000, 0.0000, 0.0000], [0.1250, 0.8750, 0.2500], [0.8750, 0.1250, 0.7500], [0.2500, 0.6250, 0.3750], [0.3750, 0.2500, 0.6250], [0.7500, 0.8750, 0.1250], [0.1250, 0.7500, 0.8750], [0.3750, 0.6250, 0.7500], [0.6250, 0.7500, 0.3750], [0.8750, 0.2500, 0.1250], [0.2500, 0.1250, 0.8750], [0.7500, 0.3750, 0.6250], [0.6250, 0.3750, 0.2500], [0.6937, 0.0881, 0.7091], [0.1057, 0.9846, 0.6937], [0.7091, 0.5154, 0.6210], [0.6210, 0.7091, 0.5154], [0.8790, 0.3943, 0.0881], [0.0881, 0.8790, 0.3943], [0.9846, 0.6937, 0.1057], [0.4119, 0.1057, 0.6210], [0.3943, 0.8063, 0.5154], [0.9846, 0.7909, 0.8790], [0.1057, 0.6210, 0.4119], [0.5154, 0.3943, 0.8063], [0.7909, 0.8790, 0.9846], [0.7091, 0.6937, 0.0881], [0.0881, 0.7091, 0.6937], [0.6210, 0.4119, 0.1057], [0.7909, 0.4119, 0.8063], [0.8063, 0.5154, 0.3943], [0.8063, 0.7909, 0.4119], [0.8790, 0.9846, 0.7909], [0.4846, 0.3790, 0.2909], [0.3943, 0.0881, 0.8790], [0.6937, 0.1057, 0.9846], [0.5154, 0.6210, 0.7091], [0.3063, 0.9119, 0.2909], [0.8943, 0.0154, 0.3063], [0.2909, 0.4846, 0.3790], [0.3790, 0.2909, 0.4846], [0.1210, 0.6057, 0.9119], [0.9119, 0.1210, 0.6057], [0.0154, 0.3063, 0.8943], [0.5881, 0.8943, 0.3790], [0.6057, 0.1937, 0.4846], [0.0154, 0.2091, 0.1210], [0.8943, 0.3790, 0.5881], [0.4846, 0.6057, 0.1937], [0.2091, 0.1210, 0.0154], [0.2909, 0.3063, 0.9119], [0.9119, 0.2909, 0.3063], [0.3790, 0.5881, 0.8943], [0.2091, 0.5881, 0.1937], [0.1937, 0.4846, 0.6057], [0.1937, 0.2091, 0.5881], [0.1210, 0.0154, 0.2091], [0.5881, 0.1937, 0.2091], [0.6057, 0.9119, 0.1210], [0.3063, 0.8943, 0.0154], [0.4119, 0.8063, 0.7909]], "energy_corrected_mp2020_ev_per_atom": -8.7301, "m_tot_mub_per_cell": 76.048, "e_form_ev_per_atom": -2.665}


# 4
{"formula": "Li3V4FeO12", "functional": "GGA+U", "state": "optimized geometry", "cell": [[6.9182, -0.1429, -0.0370], [-0.8777, 6.8367, 0.1079], [-1.4957, 1.3968, 5.5205]], "species": ["Li", "Li", "Li", "V", "V", "V", "V", "Fe", "O", "O", "O", "O", "O", "O", "O", "O", "O", "O", "O", "O"], "fractional_positions": [[0.0985, 0.0917, 0.7595], [0.2227, 0.2835, 0.1765], [0.7425, 0.7739, 0.7001], [0.2026, 0.6165, 0.7720], [0.3899, 0.8145, 0.2623], [0.6156, 0.1898, 0.7425], [0.7989, 0.3814, 0.2349], [0.9245, 0.9129, 0.2563], [0.0198, 0.7890, 0.6534], [0.0962, 0.3751, 0.8062], [0.2001, 0.9870, 0.1657], [0.3723, 0.6601, 0.5797], [0.3854, 0.0755, 0.7309], [0.3285, 0.6148, 0.0801], [0.6570, 0.3619, 0.9365], [0.6466, 0.8914, 0.3255], [0.6294, 0.3305, 0.4363], [0.7864, 0.0099, 0.8527], [0.8978, 0.6218, 0.1941], [0.9854, 0.2188, 0.3349]], "energy_corrected_mp2020_ev_per_atom": -7.8172, "m_tot_mub_per_cell": 5.000, "e_form_ev_per_atom": -2.322}